(1)
Ca4Sn3S10 after structural relaxation. Source: the Materials Project, functional GGA-PBE.

## Properties
- Total DFT energy (no corrections): -4.429 eV/atom
- Formation enthalpy at 0 K: -107 kJ per mole of atoms
- Polymorph energy (0 for the lowest one): 0.290 eV per atom
- Crystal system: tetragonal

Unit cell a=5.0237 b=5.0237 c=16.9341 alpha=98.53 beta=98.53 gamma=90.00
Fractional coordinates of all 17 atoms:
Ca: 0.4344 0.4344 0.8689
Ca: 0.5656 0.5656 0.1311
Ca: 0.3075 0.3075 0.6150
Ca: 0.6925 0.6925 0.3850
Sn: 0.0000 0.0000 0.0000
Sn: 0.1539 0.1539 0.3078
Sn: 0.8461 0.8461 0.6922
S: 0.5000 0.0000 0.0000
S: 0.0000 0.5000 0.0000
S: 0.0748 0.0748 0.1496
S: 0.9252 0.9252 0.8504
S: 0.6375 0.1375 0.2750
S: 0.1375 0.6375 0.2750
S: 0.3625 0.8625 0.7250
S: 0.8625 0.3625 0.7250
S: 0.2255 0.2255 0.4509
S: 0.7745 0.7745 0.5491


(2)
CaSnS3 after structural relaxation. Source: the Materials Project, functional GGA-PBE.

## Properties
- Total DFT energy (no corrections): -4.558 eV/atom
- Formation enthalpy at 0 K: -113 kJ per mole of atoms
- Polymorph energy (0 for the lowest one): 0.146 eV per atom
- Crystal system: orthorhombic

Unit cell a=6.5512 b=6.9151 c=10.3084 alpha=90.00 beta=90.00 gamma=90.00
Fractional coordinates of all 20 atoms:
Ca: 0.7622 0.2500 0.9113
Ca: 0.2622 0.2500 0.5887
Ca: 0.2378 0.7500 0.0887
Ca: 0.7378 0.7500 0.4113
Sn: 0.1252 0.2500 0.2467
Sn: 0.6252 0.2500 0.2533
Sn: 0.8748 0.7500 0.7533
Sn: 0.3748 0.7500 0.7467
S: 0.8958 0.2500 0.4442
S: 0.3958 0.2500 0.0558
S: 0.1042 0.7500 0.5558
S: 0.6042 0.7500 0.9442
S: 0.8866 0.5023 0.1552
S: 0.3866 0.9977 0.3448
S: 0.1134 0.0023 0.8448
S: 0.6134 0.4977 0.6552
S: 0.1134 0.4977 0.8448
S: 0.6134 0.0023 0.6552
S: 0.8866 0.9977 0.1552
S: 0.3866 0.5023 0.3448


(3)
CaSnS3 after structural relaxation. Source: the Materials Project, functional GGA-PBE.

## Properties
- Total DFT energy (no corrections): -4.291 eV/atom
- Formation enthalpy at 0 K: -88 kJ per mole of atoms
- Polymorph energy (0 for the lowest one): 0.413 eV per atom
- Crystal system: cubic

Unit cell a=5.0111 b=5.0111 c=5.0111 alpha=90.00 beta=90.00 gamma=90.00
Fractional coordinates of all 5 atoms:
Ca: 0.5000 0.5000 0.5000
Sn: 0.0000 0.0000 0.0000
S: 0.0000 0.0000 0.5000
S: 0.0000 0.5000 0.0000
S: 0.5000 0.0000 0.0000


(4)
CaSn3S7 after structural relaxation. Source: the Materials Project, functional GGA-PBE.

## Properties
- Total DFT energy (no corrections): -4.363 eV/atom
- Formation enthalpy at 0 K: -75 kJ per mole of atoms
- Polymorph energy (0 for the lowest one): 0.000 eV per atom
- Crystal system: orthorhombic

Unit cell a=6.8177 b=13.4219 c=13.4496 alpha=90.00 beta=90.00 gamma=90.00
Fractional coordinates of all 44 atoms:
Ca: 0.1811 0.5574 0.2500
Ca: 0.3189 0.0574 0.2500
Ca: 0.8189 0.4426 0.7500
Ca: 0.6811 0.9426 0.7500
Sn: 0.6994 0.7935 0.2500
Sn: 0.8006 0.2935 0.2500
Sn: 0.3006 0.2065 0.7500
Sn: 0.1994 0.7065 0.7500
Sn: 0.7181 0.6838 0.5228
Sn: 0.7819 0.1838 0.9772
Sn: 0.2819 0.3162 0.0228
Sn: 0.2181 0.8162 0.4772
Sn: 0.2819 0.3162 0.4772
Sn: 0.2181 0.8162 0.0228
Sn: 0.7181 0.6838 0.9772
Sn: 0.7819 0.1838 0.5228
S: 0.6911 0.9661 0.2500
S: 0.8089 0.4661 0.2500
S: 0.3089 0.0339 0.7500
S: 0.1911 0.5339 0.7500
S: 0.7258 0.5162 0.5656
S: 0.7742 0.0162 0.9344
S: 0.2742 0.4838 0.0656
S: 0.2258 0.9838 0.4344
S: 0.2742 0.4838 0.4344
S: 0.2258 0.9838 0.0656
S: 0.7258 0.5162 0.9344
S: 0.7742 0.0162 0.5656
S: 0.4642 0.7061 0.3781
S: 0.0358 0.2061 0.1219
S: 0.5358 0.2939 0.8781
S: 0.9642 0.7939 0.6219
S: 0.5358 0.2939 0.6219
S: 0.9642 0.7939 0.8781
S: 0.4642 0.7061 0.1219
S: 0.0358 0.2061 0.3781
S: 0.9588 0.7146 0.3763
S: 0.5412 0.2146 0.1237
S: 0.0412 0.2854 0.8763
S: 0.4588 0.7854 0.6237
S: 0.0412 0.2854 0.6237
S: 0.4588 0.7854 0.8763
S: 0.9588 0.7146 0.1237
S: 0.5412 0.2146 0.3763


(5)
Ca3SnS5 after structural relaxation. Source: the Materials Project, functional GGA-PBE.

## Properties
- Total DFT energy (no corrections): -4.809 eV/atom
- Formation enthalpy at 0 K: -162 kJ per mole of atoms
- Polymorph energy (0 for the lowest one): 0.058 eV per atom
- Crystal system: monoclinic

Unit cell a=9.0067 b=9.0067 c=12.0964 alpha=68.58 beta=68.58 gamma=59.93
Fractional coordinates of all 27 atoms:
Ca: 0.2832 0.7556 0.6778
Ca: 0.7556 0.2832 0.6778
Ca: 0.7030 0.2769 0.3170
Ca: 0.2769 0.7030 0.3170
Ca: 0.5043 0.9871 0.0092
Ca: 0.9871 0.5043 0.0092
Ca: 0.7022 0.7022 0.3215
Ca: 0.2851 0.2851 0.6792
Ca: 0.5043 0.5043 0.0051
Sn: 0.9965 0.9965 0.0093
Sn: 0.2236 0.2236 0.3361
Sn: 0.7868 0.7868 0.6405
S: 0.8612 0.8612 0.4175
S: 0.4976 0.4976 0.5063
S: 0.3875 0.9599 0.2645
S: 0.9599 0.3875 0.2645
S: 0.3908 0.3908 0.2570
S: 0.0610 0.0610 0.7938
S: 0.1583 0.1583 0.5505
S: 0.6182 0.6182 0.1476
S: 0.3681 0.3681 0.8958
S: 0.8328 0.2731 0.0658
S: 0.2731 0.8328 0.0658
S: 0.6145 0.6145 0.7308
S: 0.8299 0.8299 0.0737
S: 0.0407 0.6144 0.7326
S: 0.6144 0.0407 0.7326


(6)
CaSnS3 after structural relaxation. Source: the Materials Project, functional GGA-PBE.

## Properties
- Total DFT energy (no corrections): -4.402 eV/atom
- Formation enthalpy at 0 K: -98 kJ per mole of atoms
- Polymorph energy (0 for the lowest one): 0.302 eV per atom
- Crystal system: trigonal

Unit cell a=6.8370 b=6.8370 c=10.3653 alpha=70.74 beta=70.74 gamma=60.00
Fractional coordinates of all 15 atoms:
Ca: 0.0000 0.0000 0.0000
Ca: 0.2585 0.2585 0.2246
Ca: 0.7415 0.7415 0.7754
Sn: 0.5000 0.5000 0.5000
Sn: 0.3918 0.3918 0.8247
Sn: 0.6082 0.6082 0.1753
S: 0.0000 0.5000 0.0000
S: 0.5000 0.5000 0.0000
S: 0.5000 0.0000 0.0000
S: 0.7816 0.2717 0.6750
S: 0.2717 0.2717 0.6750
S: 0.2717 0.7816 0.6750
S: 0.2184 0.7283 0.3250
S: 0.7283 0.7283 0.3250
S: 0.7283 0.2184 0.3250


(7)
CaSnS3 after structural relaxation. Source: the Materials Project, functional GGA-PBE.

## Properties
- Total DFT energy (no corrections): -4.655 eV/atom
- Formation enthalpy at 0 K: -123 kJ per mole of atoms
- Polymorph energy (0 for the lowest one): 0.049 eV per atom
- Crystal system: orthorhombic

Unit cell a=5.3642 b=6.7007 c=14.3154 alpha=90.00 beta=90.00 gamma=90.00
Fractional coordinates of all 20 atoms:
Ca: 0.2234 0.3416 0.8760
Ca: 0.2766 0.6584 0.3760
Ca: 0.7234 0.1584 0.1240
Ca: 0.7766 0.8416 0.6240
Sn: 0.7126 0.8250 0.9066
Sn: 0.7874 0.1750 0.4066
Sn: 0.2126 0.6750 0.0934
Sn: 0.2874 0.3250 0.5934
S: 0.2382 0.7729 0.9261
S: 0.2618 0.2271 0.4261
S: 0.7382 0.7271 0.0739
S: 0.7618 0.2729 0.5739
S: 0.7514 0.5886 0.7844
S: 0.7486 0.4114 0.2844
S: 0.2514 0.9114 0.2156
S: 0.2486 0.0886 0.7156
S: 0.7302 0.1791 0.9166
S: 0.7698 0.8209 0.4166
S: 0.2302 0.3209 0.0834
S: 0.2698 0.6791 0.5834


(8)
Ca4Sn3S10 after structural relaxation. Source: the Materials Project, functional GGA-PBE.

## Properties
- Total DFT energy (no corrections): -4.574 eV/atom
- Formation enthalpy at 0 K: -121 kJ per mole of atoms
- Polymorph energy (0 for the lowest one): 0.146 eV per atom
- Crystal system: orthorhombic

Unit cell a=6.8139 b=8.0605 c=16.8900 alpha=90.00 beta=90.00 gamma=115.00
Fractional coordinates of all 34 atoms:
Ca: 0.0035 0.0071 0.3580
Ca: 0.9965 0.9929 0.6420
Ca: 0.4965 0.9929 0.8580
Ca: 0.5035 0.0071 0.1420
Ca: 0.7666 0.5332 0.1394
Ca: 0.2334 0.4668 0.8606
Ca: 0.7334 0.4668 0.6394
Ca: 0.2666 0.5332 0.3606
Sn: 0.5000 0.0000 0.5000
Sn: 0.0000 0.0000 0.0000
Sn: 0.6600 0.3200 0.3535
Sn: 0.3400 0.6800 0.6465
Sn: 0.8400 0.6800 0.8535
Sn: 0.1600 0.3200 0.1465
S: 0.5491 0.0982 0.6360
S: 0.4509 0.9018 0.3640
S: 0.9509 0.9018 0.1360
S: 0.0491 0.0982 0.8640
S: 0.8174 0.6349 0.3104
S: 0.1826 0.3651 0.6896
S: 0.6826 0.3651 0.8104
S: 0.3174 0.6349 0.1896
S: 0.8919 0.2621 0.4558
S: 0.6297 0.7379 0.5442
S: 0.1297 0.7379 0.9558
S: 0.3919 0.2621 0.0442
S: 0.1081 0.7379 0.5442
S: 0.3703 0.2621 0.4558
S: 0.8703 0.2621 0.0442
S: 0.6081 0.7379 0.9558
S: 0.8497 0.1995 0.2500
S: 0.6503 0.8005 0.7500
S: 0.1503 0.8005 0.7500
S: 0.3497 0.1995 0.2500


(9)
CaSnS3 after structural relaxation. Source: the Materials Project, functional GGA-PBE.

## Properties
- Total DFT energy (no corrections): -4.638 eV/atom
- Formation enthalpy at 0 K: -121 kJ per mole of atoms
- Polymorph energy (0 for the lowest one): 0.066 eV per atom
- Crystal system: orthorhombic

Unit cell a=7.0873 b=7.1208 c=9.4199 alpha=90.00 beta=90.00 gamma=90.00
Fractional coordinates of all 20 atoms:
Ca: 0.1716 0.6998 0.5000
Ca: 0.6716 0.3002 0.5000
Ca: 0.0394 0.7022 0.0000
Ca: 0.5394 0.2978 0.0000
Sn: 0.1362 0.1955 0.7444
Sn: 0.1362 0.1955 0.2556
Sn: 0.6362 0.8046 0.2556
Sn: 0.6362 0.8046 0.7444
S: 0.5169 0.8992 0.5000
S: 0.0169 0.1008 0.5000
S: 0.6501 0.6676 0.0000
S: 0.1501 0.3324 0.0000
S: 0.8857 0.5752 0.6945
S: 0.8857 0.5752 0.3055
S: 0.3857 0.4248 0.3055
S: 0.3857 0.4248 0.6945
S: 0.2842 0.8902 0.8033
S: 0.2842 0.8902 0.1967
S: 0.7842 0.1098 0.1967
S: 0.7842 0.1098 0.8033


(10)
CaSnS3 after structural relaxation. Source: the Materials Project, functional GGA-PBE.

## Properties
- Total DFT energy (no corrections): -4.608 eV/atom
- Formation enthalpy at 0 K: -118 kJ per mole of atoms
- Polymorph energy (0 for the lowest one): 0.097 eV per atom
- Crystal system: tetragonal

Unit cell a=14.5726 b=14.5726 c=13.1721 alpha=90.00 beta=90.00 gamma=90.00
Fractional coordinates of all 100 atoms:
Ca: 0.2672 0.7538 0.4460
Ca: 0.7328 0.2462 0.9460
Ca: 0.2462 0.2672 0.1960
Ca: 0.7538 0.7328 0.6960
Ca: 0.2872 0.2697 0.7085
Ca: 0.7128 0.7303 0.2085
Ca: 0.7303 0.2872 0.4585
Ca: 0.2697 0.7128 0.9585
Ca: 0.5564 0.8369 0.4886
Ca: 0.4436 0.1631 0.9886
Ca: 0.1631 0.5564 0.2386
Ca: 0.8369 0.4436 0.7386
Ca: 0.3407 0.9662 0.6948
Ca: 0.6593 0.0338 0.1948
Ca: 0.0338 0.3407 0.4448
Ca: 0.9662 0.6593 0.9448
Ca: 0.1229 0.5379 0.7030
Ca: 0.8771 0.4621 0.2030
Ca: 0.4621 0.1229 0.4530
Ca: 0.5379 0.8771 0.9530
Sn: 0.4362 0.7300 0.7558
Sn: 0.5638 0.2700 0.2558
Sn: 0.2700 0.4362 0.5058
Sn: 0.7300 0.5638 0.0058
Sn: 0.0929 0.8046 0.2263
Sn: 0.9071 0.1954 0.7263
Sn: 0.1954 0.0929 0.9763
Sn: 0.8046 0.9071 0.4763
Sn: 0.9369 0.6293 0.4516
Sn: 0.0631 0.3707 0.9516
Sn: 0.3707 0.9369 0.2016
Sn: 0.6293 0.0631 0.7016
Sn: 0.0731 0.8753 0.8121
Sn: 0.9269 0.1247 0.3121
Sn: 0.1247 0.0731 0.5621
Sn: 0.8753 0.9269 0.0621
Sn: 0.4386 0.6426 0.1939
Sn: 0.5614 0.3574 0.6939
Sn: 0.3574 0.4386 0.9439
Sn: 0.6426 0.5614 0.4439
S: 0.0043 0.5068 0.3489
S: 0.9957 0.4932 0.8489
S: 0.4932 0.0043 0.0989
S: 0.5068 0.9957 0.5989
S: 0.9434 0.5693 0.6210
S: 0.0566 0.4307 0.1210
S: 0.4307 0.9434 0.3710
S: 0.5693 0.0566 0.8710
S: 0.1146 0.6983 0.0914
S: 0.8854 0.3017 0.5914
S: 0.3017 0.1146 0.8414
S: 0.6983 0.8854 0.3414
S: 0.0837 0.7197 0.3855
S: 0.9163 0.2803 0.8855
S: 0.2803 0.0837 0.1355
S: 0.7197 0.9163 0.6355
S: 0.9414 0.8756 0.2242
S: 0.0586 0.1244 0.7242
S: 0.1244 0.9414 0.9742
S: 0.8756 0.0586 0.4742
S: 0.2437 0.5911 0.5559
S: 0.7563 0.4089 0.0559
S: 0.4089 0.2437 0.3059
S: 0.5911 0.7563 0.8059
S: 0.3621 0.8513 0.8598
S: 0.6379 0.1487 0.3598
S: 0.1487 0.3621 0.6098
S: 0.8513 0.6379 0.1098
S: 0.3890 0.7974 0.5951
S: 0.6110 0.2026 0.0951
S: 0.2026 0.3890 0.3451
S: 0.7974 0.6110 0.8451
S: 0.3545 0.5902 0.8096
S: 0.6455 0.4098 0.3096
S: 0.4098 0.3545 0.5596
S: 0.5902 0.6455 0.0596
S: 0.1168 0.7168 0.8156
S: 0.8832 0.2832 0.3156
S: 0.2832 0.1168 0.5656
S: 0.7168 0.8832 0.0656
S: 0.8932 0.7809 0.5446
S: 0.1068 0.2191 0.0446
S: 0.2191 0.8932 0.2946
S: 0.7809 0.1068 0.7946
S: 0.1409 0.9116 0.6364
S: 0.8591 0.0884 0.1364
S: 0.0884 0.1409 0.3864
S: 0.9116 0.8591 0.8864
S: 0.4039 0.7889 0.1046
S: 0.5961 0.2111 0.6046
S: 0.2111 0.4039 0.8546
S: 0.7889 0.5961 0.3546
S: 0.5578 0.6760 0.3278
S: 0.4422 0.3240 0.8278
S: 0.3240 0.5578 0.0778
S: 0.6760 0.4422 0.5778
S: 0.3260 0.6160 0.3247
S: 0.6740 0.3840 0.8247
S: 0.3840 0.3260 0.0747
S: 0.6160 0.6740 0.5747


(11)
CaSn3S7 after structural relaxation. Source: the Materials Project, functional GGA-PBE.

## Properties
- Total DFT energy (no corrections): -4.361 eV/atom
- Formation enthalpy at 0 K: -75 kJ per mole of atoms
- Polymorph energy (0 for the lowest one): 0.003 eV per atom
- Crystal system: orthorhombic

Unit cell a=6.5856 b=6.7282 c=13.4858 alpha=90.00 beta=90.00 gamma=90.00
Fractional coordinates of all 22 atoms:
Ca: 0.8839 0.5000 0.0000
Ca: 0.1161 0.0000 0.5000
Sn: 0.3622 0.5000 0.7693
Sn: 0.3622 0.5000 0.2307
Sn: 0.6378 0.0000 0.7307
Sn: 0.6378 0.0000 0.2693
Sn: 0.3995 0.0000 0.0000
Sn: 0.6005 0.5000 0.5000
S: 0.0462 0.0000 0.0000
S: 0.9538 0.5000 0.5000
S: 0.0172 0.5000 0.8083
S: 0.0172 0.5000 0.1917
S: 0.9828 0.0000 0.6917
S: 0.9828 0.0000 0.3083
S: 0.5742 0.2494 0.8740
S: 0.5742 0.7506 0.8740
S: 0.5742 0.2494 0.1260
S: 0.5742 0.7506 0.1260
S: 0.4258 0.2506 0.6260
S: 0.4258 0.7494 0.6260
S: 0.4258 0.2506 0.3740
S: 0.4258 0.7494 0.3740


(12)
CaSnS3 after structural relaxation. Source: the Materials Project, functional GGA-PBE.

## Properties
- Total DFT energy (no corrections): -4.681 eV/atom
- Formation enthalpy at 0 K: -125 kJ per mole of atoms
- Polymorph energy (0 for the lowest one): 0.023 eV per atom
- Crystal system: triclinic

Unit cell a=8.6073 b=8.7457 c=11.8458 alpha=69.63 beta=83.86 gamma=76.55
Fractional coordinates of all 30 atoms:
Ca: 0.2456 0.2457 0.0009
Ca: 0.7544 0.7543 0.9991
Ca: 0.3979 0.7364 0.3672
Ca: 0.6021 0.2636 0.6328
Ca: 0.0739 0.4274 0.3324
Ca: 0.9261 0.5726 0.6676
Sn: 0.6066 0.3408 0.2981
Sn: 0.3934 0.6592 0.7019
Sn: 0.7317 0.2309 0.0021
Sn: 0.2683 0.7691 0.9979
Sn: 0.9642 0.9757 0.3110
Sn: 0.0358 0.0243 0.6890
S: 0.7500 0.5576 0.2549
S: 0.2500 0.4424 0.7451
S: 0.3875 0.3924 0.4323
S: 0.6125 0.6076 0.5677
S: 0.5008 0.3167 0.1246
S: 0.4992 0.6833 0.8754
S: 0.1013 0.5732 0.0674
S: 0.8987 0.4268 0.9326
S: 0.4092 0.8595 0.1160
S: 0.5908 0.1405 0.8840
S: 0.8718 0.9542 0.1298
S: 0.1282 0.0458 0.8702
S: 0.1667 0.1352 0.2619
S: 0.8333 0.8648 0.7381
S: 0.0773 0.6929 0.4268
S: 0.9227 0.3071 0.5732
S: 0.7299 0.0623 0.4274
S: 0.2701 0.9377 0.5726